Compound: Ca3GeO
Source: the Materials Project
Functional: PBE-GGA
Structure: optimized geometry

abc: 4.743 4.743 4.743
angles: 90.00 90.00 90.00
Fractional coordinates of all 5 atoms:
1 Ca 0.000 0.500 0.500
2 Ca 0.500 0.500 0.000
3 Ca 0.500 0.000 0.500
4 Ge 0.000 0.000 0.000
5 O 0.500 0.500 0.500

Properties
* DFT total energy: -4.685 eV per atom
* crystal system: cubic
* volume: 21.3 Å³ per atom
* SG: Pm-3m, No. 221